# 1
An optimized crystal structure of Mg7Si4. Source: Materials Project, functional PBE.

Cell: 5.211 5.926 14.034 Å, 85.22 85.76 85.49°
Space group P1 (No. 1)
One atom of each set of equivalent atoms:
Mg 0.000 0.000 0.000 x1
Mg 0.008 0.301 0.319 x1
Mg 0.163 0.835 0.452 x1
Mg 0.164 0.441 0.093 x1
Mg 0.274 0.604 0.879 x1
Mg 0.376 0.429 0.667 x1
Mg 0.426 0.930 0.633 x1
Mg 0.493 0.827 0.098 x1
Mg 0.673 0.280 0.151 x1
Mg 0.698 0.577 0.470 x1
Mg 0.759 0.876 0.816 x1
Mg 0.823 0.368 0.800 x1
Mg 0.907 0.167 0.606 x1
Mg 0.942 0.814 0.241 x1
Si 0.273 0.100 0.819 x1
Si 0.291 0.328 0.486 x1
Si 0.425 0.991 0.280 x1
Si 0.438 0.572 0.275 x1
Si 0.506 0.181 0.962 x1
Si 0.631 0.047 0.430 x1
Si 0.748 0.538 0.972 x1
Si 0.897 0.676 0.644 x1

Results
Energy of formation: 0.09 eV/atom
Crystal system: triclinic
E above lowest polymorph: 39 meV per atom



# 2
An optimized crystal structure of ScCuSi. Source: Materials Project, functional PBE.

Cell: 6.557 3.976 7.237 Å, 90.00 90.00 90.00°
Space group Pnma (No. 62)
One atom of each set of equivalent atoms:
Sc 0.009 0.250 0.195 x4
Cu 0.157 0.250 0.566 x4
Si 0.229 0.750 0.391 x4

Results
Energy of formation: -0.64 eV/atom
Crystal system: orthorhombic



# 3
An optimized crystal structure of CaTi2PbO6. Source: Materials Project, functional PBE.

Cell: 3.818 7.665 8.844 Å, 90.00 90.00 90.00°
Space group Amm2 (No. 38)
One atom of each set of equivalent atoms:
Ca 0.000 0.000 0.000 x2
Ti 0.500 0.247 0.287 x4
Pb 0.000 0.000 0.523 x2
O 0.000 0.249 0.340 x4
O 0.500 0.000 0.356 x2
O 0.500 0.000 0.819 x2
O 0.500 0.214 0.089 x4

Results
Energy of formation: -3.13 eV/atom
Crystal system: orthorhombic
E above lowest polymorph: 0 meV per atom



Copy entry 2 word for word.
An optimized crystal structure of ScCuSi. Source: Materials Project, functional PBE.

Cell: 6.557 3.976 7.237 Å, 90.00 90.00 90.00°
Space group Pnma (No. 62)
One atom of each set of equivalent atoms:
Sc 0.009 0.250 0.195 x4
Cu 0.157 0.250 0.566 x4
Si 0.229 0.750 0.391 x4

Results
Energy of formation: -0.64 eV/atom
Crystal system: orthorhombic



Q: The lowest energy of formation belongs to which entry?
A: CaTi2PbO6